1.
# Zr4Ni2O, optimized geometry, DFT PBE+U
# **Uncorrected energy**: -6.991 eV per atom
# **Formation energy**: -0.57 eV/atom
# **Corrected total energy (MP2020 scheme)**: -54.70 eV/f.u.
data_Zr4Ni2O
_cell_length_a 8.741
_cell_length_b 8.741
_cell_length_c 8.741
_cell_angle_alpha 60.00
_cell_angle_beta 60.00
_cell_angle_gamma 60.00
_space_group_name_H-M_alt 'P 1'
_space_group_IT_number 1
loop_
_space_group_symop_operation_xyz
'x,y,z'
loop_
_atom_site_label
_atom_site_type_symbol
_atom_site_fract_x
_atom_site_fract_y
_atom_site_fract_z
Zr1 Zr 0.058 0.692 0.692
Zr2 Zr 0.308 0.942 0.942
Zr3 Zr 0.692 0.058 0.692
Zr4 Zr 0.692 0.692 0.058
Zr5 Zr 0.058 0.058 0.692
Zr6 Zr 0.058 0.692 0.058
Zr7 Zr 0.308 0.942 0.308
Zr8 Zr 0.942 0.308 0.942
Zr9 Zr 0.500 0.500 0.500
Zr10 Zr 0.500 0.500 0.000
Zr11 Zr 0.000 0.500 0.500
Zr12 Zr 0.500 0.000 0.500
Zr13 Zr 0.942 0.308 0.308
Zr14 Zr 0.308 0.308 0.942
Zr15 Zr 0.942 0.942 0.308
Zr16 Zr 0.692 0.058 0.058
Ni1 Ni 0.714 0.714 0.357
Ni2 Ni 0.286 0.286 0.286
Ni3 Ni 0.714 0.357 0.714
Ni4 Ni 0.357 0.714 0.714
Ni5 Ni 0.286 0.643 0.286
Ni6 Ni 0.714 0.714 0.714
Ni7 Ni 0.286 0.286 0.643
Ni8 Ni 0.643 0.286 0.286
O1 O 0.000 0.500 0.000
O2 O 0.500 0.000 0.000
O3 O 0.000 0.000 0.500
O4 O 0.000 0.000 0.000

***

2.
# NaSrEuWO6, optimized geometry, DFT PBE+U
# **Uncorrected energy**: -7.311 eV per atom
# **Formation energy**: -2.58 eV/atom
# **Corrected total energy (MP2020 scheme)**: -81.67 eV/f.u.
data_NaSrEuWO6
_cell_length_a 5.816
_cell_length_b 5.816
_cell_length_c 5.816
_cell_angle_alpha 60.00
_cell_angle_beta 60.00
_cell_angle_gamma 60.00
_space_group_name_H-M_alt 'P 1'
_space_group_IT_number 1
loop_
_space_group_symop_operation_xyz
'x,y,z'
loop_
_atom_site_label
_atom_site_type_symbol
_atom_site_fract_x
_atom_site_fract_y
_atom_site_fract_z
Na1 Na 0.000 0.000 0.000
Sr1 Sr 0.250 0.250 0.250
Eu1 Eu 0.750 0.750 0.750
W1 W 0.500 0.500 0.500
O1 O 0.735 0.265 0.265
O2 O 0.265 0.735 0.735
O3 O 0.735 0.265 0.735
O4 O 0.265 0.735 0.265
O5 O 0.735 0.735 0.265
O6 O 0.265 0.265 0.735